(1)
VASP calculation (PBE-GGA) on an optimized crystal structure of LaSi4Ni9.

a = 7.967 Å, b = 7.967 Å, c = 7.967 Å
α = 121.01°, β = 121.01°, γ = 88.26°
Fractional coordinates of all 28 atoms:
La  0.250  0.250  0.000
La  0.750  0.750  0.000
Si  0.053  0.553  0.841
Si  0.212  0.053  0.500
Si  0.288  0.788  0.841
Si  0.447  0.288  0.500
Si  0.553  0.712  0.500
Si  0.712  0.212  0.159
Si  0.788  0.947  0.500
Si  0.947  0.447  0.159
Ni  0.000  0.500  0.500
Ni  0.054  0.816  0.500
Ni  0.069  0.204  0.273
Ni  0.184  0.684  0.238
Ni  0.204  0.931  0.135
Ni  0.296  0.431  0.727
Ni  0.316  0.554  0.500
Ni  0.431  0.704  0.135
Ni  0.446  0.946  0.762
Ni  0.500  0.000  0.500
Ni  0.554  0.054  0.238
Ni  0.569  0.296  0.865
Ni  0.684  0.446  0.500
Ni  0.704  0.569  0.273
Ni  0.796  0.069  0.865
Ni  0.816  0.316  0.762
Ni  0.931  0.796  0.727
Ni  0.946  0.184  0.500

Output
Calculated volume (Å³/cell): 352
Space-group type: I4/mcm, No. 140
Energy relative to the elements (eV per atom): -0.588

=====

(2)
VASP calculation (PBE-GGA) on an optimized crystal structure of U2Al3Fe.

a = 5.418 Å, b = 5.418 Å, c = 5.418 Å
α = 57.25°, β = 57.25°, γ = 57.25°
Fractional coordinates of all 6 atoms:
U  0.136  0.136  0.136
U  0.864  0.864  0.864
Al  0.000  0.500  0.500
Al  0.500  0.000  0.500
Al  0.500  0.500  0.000
Fe  0.500  0.500  0.500

Output
Calculated volume (Å³/cell): 105
Space-group type: R-3m, No. 166
Energy relative to the elements (eV per atom): -0.092

=====

(3)
VASP calculation (PBE-GGA) on an optimized crystal structure of K2TlCuBr6.

a = 7.722 Å, b = 7.722 Å, c = 7.722 Å
α = 60.00°, β = 60.00°, γ = 60.00°
Fractional coordinates of all 10 atoms:
K  0.250  0.250  0.250
K  0.750  0.750  0.750
Tl  0.000  0.000  0.000
Cu  0.500  0.500  0.500
Br  0.263  0.263  0.737
Br  0.263  0.737  0.263
Br  0.263  0.737  0.737
Br  0.737  0.263  0.263
Br  0.737  0.263  0.737
Br  0.737  0.737  0.263

Output
Calculated volume (Å³/cell): 326
Space-group type: Fm-3m, No. 225
Energy relative to the elements (eV per atom): -1.274
E (MP2020) (eV per atom): -3.125

=====

(4)
VASP calculation (PBE-GGA) on an optimized crystal structure of NdEu2BeO5.

a = 9.573 Å, b = 7.270 Å, c = 6.578 Å
α = 90.00°, β = 90.00°, γ = 90.00°
Fractional coordinates of all 36 atoms:
Nd  0.024  0.250  0.096
Nd  0.476  0.750  0.596
Nd  0.524  0.250  0.404
Nd  0.976  0.750  0.904
Eu  0.173  0.023  0.579
Eu  0.173  0.477  0.579
Eu  0.327  0.523  0.079
Eu  0.327  0.977  0.079
Eu  0.673  0.023  0.921
Eu  0.673  0.477  0.921
Eu  0.827  0.523  0.421
Eu  0.827  0.977  0.421
Be  0.100  0.750  0.308
Be  0.400  0.250  0.808
Be  0.600  0.750  0.192
Be  0.900  0.250  0.692
O  0.009  0.750  0.521
O  0.067  0.559  0.191
O  0.067  0.941  0.191
O  0.223  0.750  0.835
O  0.228  0.250  0.864
O  0.272  0.750  0.364
O  0.277  0.250  0.335
O  0.433  0.059  0.691
O  0.433  0.441  0.691
O  0.491  0.250  0.021
O  0.509  0.750  0.979
O  0.567  0.559  0.309
O  0.567  0.941  0.309
O  0.723  0.750  0.665
O  0.728  0.250  0.636
O  0.772  0.750  0.136
O  0.777  0.250  0.165
O  0.933  0.059  0.809
O  0.933  0.441  0.809
O  0.991  0.250  0.479

Output
Calculated volume (Å³/cell): 458
Space-group type: Pnma, No. 62
Energy relative to the elements (eV per atom): -3.398
E (MP2020) (eV per atom): -9.371

=====

(5)
VASP calculation (PBE-GGA) on an optimized crystal structure of Sr3Bi3N5.

a = 6.412 Å, b = 7.062 Å, c = 10.961 Å
α = 103.20°, β = 93.72°, γ = 91.87°
Fractional coordinates of all 22 atoms:
Sr  0.159  0.299  0.386
Sr  0.183  0.289  0.772
Sr  0.271  0.889  0.052
Sr  0.729  0.111  0.948
Sr  0.817  0.711  0.228
Sr  0.841  0.701  0.614
Bi  0.229  0.432  0.098
Bi  0.334  0.759  0.725
Bi  0.378  0.788  0.400
Bi  0.622  0.212  0.600
Bi  0.666  0.241  0.275
Bi  0.771  0.568  0.902
N  0.074  0.650  0.818
N  0.166  0.911  0.286
N  0.198  0.660  0.530
N  0.333  0.186  0.969
N  0.448  0.484  0.271
N  0.552  0.516  0.729
N  0.667  0.814  0.031
N  0.802  0.340  0.470
N  0.834  0.089  0.714
N  0.926  0.350  0.182

Output
Calculated volume (Å³/cell): 482
Space-group type: P-1, No. 2
Energy relative to the elements (eV per atom): -0.187
E (MP2020) (eV per atom): -5.498

=====

(6)
VASP calculation (PBE-GGA) on an optimized crystal structure of SiO2.

a = 5.055 Å, b = 5.055 Å, c = 8.982 Å
α = 97.02°, β = 97.02°, γ = 63.96°
Fractional coordinates of all 9 atoms:
Si  0.000  0.000  0.000
Si  0.165  0.375  0.835
Si  0.625  0.835  0.165
O  0.083  0.719  0.875
O  0.281  0.917  0.125
O  0.423  0.155  0.746
O  0.703  0.054  0.079
O  0.845  0.577  0.254
O  0.946  0.297  0.921

Output
Calculated volume (Å³/cell): 204
Space-group type: C2, No. 5
Energy relative to the elements (eV per atom): -2.586
E (MP2020) (eV per atom): -7.694

=====

(7)
VASP calculation (PBE-GGA) on an optimized crystal structure of KHg3.

a = 7.151 Å, b = 7.151 Å, c = 5.768 Å
α = 90.00°, β = 90.00°, γ = 120.00°
Fractional coordinates of all 8 atoms:
K  0.333  0.667  0.250
K  0.667  0.333  0.750
Hg  0.156  0.312  0.750
Hg  0.156  0.844  0.750
Hg  0.312  0.156  0.250
Hg  0.688  0.844  0.750
Hg  0.844  0.156  0.250
Hg  0.844  0.688  0.250

Output
Calculated volume (Å³/cell): 255
Space-group type: P6_3/mmc, No. 194
Energy relative to the elements (eV per atom): -0.220

=====

(8)
VASP calculation (PBE-GGA) on an optimized crystal structure of SrAs2O6.

a = 4.949 Å, b = 4.949 Å, c = 10.970 Å
α = 90.00°, β = 90.00°, γ = 120.00°
Fractional coordinates of all 18 atoms:
Sr  0.000  0.000  0.250
Sr  0.000  0.000  0.750
As  0.333  0.667  0.000
As  0.333  0.667  0.500
As  0.667  0.333  0.000
As  0.667  0.333  0.500
O  0.000  0.384  0.097
O  0.000  0.384  0.403
O  0.000  0.616  0.597
O  0.000  0.616  0.903
O  0.384  0.000  0.097
O  0.384  0.000  0.403
O  0.384  0.384  0.597
O  0.384  0.384  0.903
O  0.616  0.000  0.597
O  0.616  0.000  0.903
O  0.616  0.616  0.097
O  0.616  0.616  0.403

Output
Calculated volume (Å³/cell): 233
Space-group type: P6_3/mcm, No. 193
Energy relative to the elements (eV per atom): -2.233
E (MP2020) (eV per atom): -6.755

=====

energy relative to the elements of number 3 (K2TlCuBr6)? -1.274 eV per atom

=====

The lowest energy relative to the elements belongs to which entry? NdEu2BeO5

=====

Look up the calculated volume of the sixth one. 204 Å³/cell